DFT (meta-GGA r2SCAN) results for a relaxed structure of La3S3N.

```
data_La3S3N
_cell_length_a 12.2403
_cell_length_b 4.1713
_cell_length_c 13.2556
_cell_angle_alpha 90.00
_cell_angle_beta 90.00
_cell_angle_gamma 90.00
_symmetry_space_group_name_H-M 'P n m a'
_symmetry_Int_Tables_number 62
loop_
_symmetry_equiv_pos_as_xyz
'x,y,z'
'-x,-y,-z'
'-x+1/2,-y,z+1/2'
'x+1/2,y,-z+1/2'
'x+1/2,-y+1/2,-z+1/2'
'-x+1/2,y+1/2,z+1/2'
'-x,y+1/2,-z'
'x,-y+1/2,z'
loop_
_atom_site_label
_atom_site_fract_x
_atom_site_fract_y
_atom_site_fract_z
La1 0.0339 0.2500 0.1528
La2 0.0951 0.2500 0.6256
La3 0.2289 0.2500 0.8701
S1 0.0717 0.2500 0.3929
S2 0.1445 0.7500 0.0016
S3 0.2343 0.7500 0.7051
N1 0.0549 0.2500 0.7980
```

---

DFT (meta-GGA r2SCAN) results for a relaxed structure of MnSb.

```
data_MnSb
_cell_length_a 4.1537
_cell_length_b 4.1537
_cell_length_c 5.7878
_cell_angle_alpha 90.00
_cell_angle_beta 90.00
_cell_angle_gamma 120.00
_symmetry_space_group_name_H-M 'P 63/m m c'
_symmetry_Int_Tables_number 194
_symmetry_space_group_name_Hall '-P 6c 2c'
loop_
_atom_site_label
_atom_site_fract_x
_atom_site_fract_y
_atom_site_fract_z
Mn1 0.0000 0.0000 0.0000
Sb1 0.3333 0.6667 0.2500
```

---

DFT (meta-GGA r2SCAN) results for a relaxed structure of CsNiBr3.

```
data_CsNiBr3
_cell_length_a 7.5561
_cell_length_b 7.5561
_cell_length_c 6.2761
_cell_angle_alpha 90.00
_cell_angle_beta 90.00
_cell_angle_gamma 120.00
_symmetry_space_group_name_H-M 'P 63/m m c'
_symmetry_Int_Tables_number 194
_symmetry_space_group_name_Hall '-P 6c 2c'
loop_
_atom_site_label
_atom_site_fract_x
_atom_site_fract_y
_atom_site_fract_z
Cs1 0.3333 0.6667 0.2500
Ni1 0.0000 0.0000 0.0000
Br1 0.1549 0.3099 0.7500
```

---

Record order is preserved below.
Formation energy: -2.352, -0.304, -1.274 eV per atom
Record order is preserved below.
Total DFT energy (no corrections): -555.7, -82.0, -166.5 eV for the cell shown
Record order is preserved below.
Ρ: 5.2, 6.8, 4.6 Mg/m³